A geometry-optimized Mg6CdSb structure. Source: the Materials Project, functional PBE.

```
Mg6CdSb
1.0
5.3594 0.0000 0.0000
0.0000 6.2027 0.0000
0.0000 0.0000 11.0770
Cd Mg Sb
2 12 2
Direct
0.0000 0.0000 0.8535
0.0000 0.5000 0.3535
0.5000 0.5000 0.6665
0.0000 0.7533 0.5887
0.0000 0.0000 0.3321
0.5000 0.2524 0.4095
0.5000 0.7524 0.9095
0.5000 0.2476 0.9095
0.0000 0.5000 0.8321
0.5000 0.7476 0.4095
0.0000 0.2533 0.0887
0.5000 0.0000 0.1665
0.0000 0.2467 0.5887
0.0000 0.7467 0.0887
0.5000 0.0000 0.6514
0.5000 0.5000 0.1514
```

Properties
- polymorph energy (0 for the lowest one) (eV/atom) = 0.000
- energy of formation from the pure elements (eV/atom) = -0.0947
- total energy after the MP2020 corrections (eV/atom) = -1.926
- energy (eV/f.u.) = -15.22
- calculated volume (Å³ per atom) = 23.01

A geometry-optimized Mg14CdSb structure. Source: the Materials Project, functional PBE.

```
Mg14CdSb
1.0
6.3774 0.0000 0.0000
-3.1887 5.5230 0.0000
0.0000 0.0000 10.3587
Mg Cd Sb
14 1 1
Direct
0.0000 0.0000 0.2502
0.0000 0.0000 0.7498
0.3323 0.1662 0.0000
0.3332 0.1666 0.5000
0.5019 0.0037 0.2538
0.5019 0.0037 0.7462
0.5019 0.4981 0.2538
0.5019 0.4981 0.7462
0.8334 0.1666 0.5000
0.8334 0.6668 0.5000
0.8338 0.1662 0.0000
0.8338 0.6677 0.0000
0.9963 0.4981 0.2538
0.9963 0.4981 0.7462
0.3333 0.6667 0.5000
0.3333 0.6667 0.0000
```

Properties
- polymorph energy (0 for the lowest one) (eV/atom) = 0.000
- energy of formation from the pure elements (eV/atom) = -0.0566
- total energy after the MP2020 corrections (eV/atom) = -1.773
- energy (eV/f.u.) = -28.17
- calculated volume (Å³ per atom) = 22.80

A geometry-optimized Mg6CdSb structure. Source: the Materials Project, functional PBE.

```
Mg6CdSb
1.0
-4.2053 -2.7429 -1.7321
1.9289 -5.1337 3.4467
-5.7461 3.4934 8.4188
Mg Cd Sb
12 2 2
Direct
0.5000 0.5000 0.6661
0.0000 0.7495 0.0837
0.5000 0.7485 0.4168
0.5000 0.2485 0.9168
0.5000 0.0000 0.1661
0.5000 0.0000 0.6669
0.5000 0.2515 0.4168
0.0000 0.2495 0.5837
0.5000 0.7515 0.9168
0.5000 0.5000 0.1669
0.0000 0.7505 0.5837
0.0000 0.2505 0.0837
0.0000 0.5000 0.3327
0.0000 0.0000 0.8327
0.0000 0.0000 0.3333
0.0000 0.5000 0.8333
```

Properties
- polymorph energy (0 for the lowest one) (eV/atom) = 0.010
- energy of formation from the pure elements (eV/atom) = -0.0847
- total energy after the MP2020 corrections (eV/atom) = -1.916
- energy (eV/f.u.) = -15.14
- calculated volume (Å³ per atom) = 23.17

A geometry-optimized Mg14CdSi structure. Source: the Materials Project, functional PBE.

```
Mg14CdSi
1.0
6.2717 0.0000 0.0000
-3.1358 5.4314 0.0000
0.0000 0.0000 10.3436
Mg Cd Si
14 1 1
Direct
0.0000 0.0000 0.2488
0.0000 0.0000 0.7512
0.0027 0.5014 0.2512
0.0027 0.5014 0.7488
0.3323 0.1662 0.5000
0.3336 0.1668 0.0000
0.4986 0.5014 0.2512
0.4986 0.5014 0.7488
0.4986 0.9973 0.2512
0.4986 0.9973 0.7488
0.8332 0.1668 0.0000
0.8332 0.6664 0.0000
0.8338 0.1662 0.5000
0.8338 0.6677 0.5000
0.3333 0.6667 0.0000
0.3333 0.6667 0.5000
```

Properties
- polymorph energy (0 for the lowest one) (eV/atom) = 0.000
- energy of formation from the pure elements (eV/atom) = 0.0058
- total energy after the MP2020 corrections (eV/atom) = -1.791
- energy (eV/f.u.) = -28.73
- calculated volume (Å³ per atom) = 22.02

A geometry-optimized Mg6CdSi structure. Source: the Materials Project, functional PBE.

```
Mg6CdSi
1.0
-0.6412 4.4256 -2.0287
-0.5887 -2.7548 -5.8235
-10.4834 -0.8489 1.4613
Cd Mg Si
2 12 2
Direct
0.5000 0.5000 0.8339
0.5000 0.0000 0.3339
0.0000 0.0000 0.1668
0.0000 0.7536 0.9143
0.0000 0.0000 0.6691
0.0000 0.7464 0.4143
0.5000 0.2499 0.5843
0.0000 0.5000 0.1691
0.5000 0.7501 0.5843
0.5000 0.7499 0.0843
0.0000 0.5000 0.6668
0.0000 0.2536 0.4143
0.5000 0.2501 0.0843
0.0000 0.2464 0.9143
0.5000 0.0000 0.8330
0.5000 0.5000 0.3330
```

Properties
- energy of formation from the pure elements (eV/atom) = 0.0386
- total energy after the MP2020 corrections (eV/atom) = -1.955
- energy (eV/f.u.) = -15.71
- calculated volume (Å³ per atom) = 21.08

A geometry-optimized Mg14CdSi structure. Source: the Materials Project, functional PBE.

```
Mg14CdSi
1.0
10.3696 0.0000 0.0000
0.0000 3.1565 5.4244
0.0000 -3.1565 5.4244
Mg Cd Si
14 1 1
Direct
0.0000 0.0000 0.0000
0.0000 0.0014 0.4998
0.0000 0.4995 0.4995
0.0000 0.4998 0.0014
0.2485 0.6667 0.6667
0.2513 0.1653 0.1653
0.2534 0.1658 0.6701
0.2534 0.6701 0.1658
0.5000 0.5000 0.9991
0.5000 0.9991 0.5000
0.7466 0.1658 0.6701
0.7466 0.6701 0.1658
0.7487 0.1653 0.1653
0.7515 0.6667 0.6667
0.5000 0.5010 0.5010
0.5000 0.0011 0.0011
```

Properties
- polymorph energy (0 for the lowest one) (eV/atom) = 0.013
- energy of formation from the pure elements (eV/atom) = 0.0184
- total energy after the MP2020 corrections (eV/atom) = -1.779
- energy (eV/f.u.) = -28.53
- calculated volume (Å³ per atom) = 22.19

A geometry-optimized Mg6CdSi structure. Source: the Materials Project, functional PBE.

```
Mg6CdSi
1.0
5.0836 0.0000 0.0000
0.0000 6.1394 0.0000
0.0000 0.0000 10.8555
Mg Cd Si
12 2 2
Direct
0.5000 0.2563 0.4107
0.5000 0.0000 0.1671
0.0000 0.7509 0.5862
0.0000 0.5000 0.8340
0.5000 0.7563 0.9107
0.0000 0.2491 0.5862
0.0000 0.7491 0.0862
0.0000 0.0000 0.3340
0.5000 0.5000 0.6671
0.5000 0.7437 0.4107
0.0000 0.2509 0.0862
0.5000 0.2437 0.9107
0.5000 0.0000 0.6565
0.5000 0.5000 0.1565
0.0000 0.5000 0.3486
0.0000 0.0000 0.8486
```

Properties
- energy of formation from the pure elements (eV/atom) = 0.0381
- total energy after the MP2020 corrections (eV/atom) = -1.956
- energy (eV/f.u.) = -15.72
- calculated volume (Å³ per atom) = 21.17

A geometry-optimized SmMgCd2 structure. Source: the Materials Project, functional PBE.

```
SmMgCd2
1.0
0.0000 3.6508 3.6508
3.6508 0.0000 3.6508
3.6508 3.6508 0.0000
Sm Mg Cd
1 1 2
Direct
0.0000 0.0000 0.0000
0.5000 0.5000 0.5000
0.2500 0.2500 0.2500
0.7500 0.7500 0.7500
```

Properties
- energy of formation from the pure elements (eV/atom) = -0.3245
- energy (eV/f.u.) = -9.46
- calculated volume (Å³ per atom) = 24.33